# PBE-GGA Ag2B8O13, relaxed
# Energy relative to the elements, eV per formula unit: -57.5
# Energy above the lowest structure with this stoichiometry, meV/atom: 12
# MP2020-corrected energy, eV per atom: -7.866
# Total magnetization, μB/atom: 0.00
# Electronic total energy, eV/atom: -7.478
data_Ag2B8O13
_chemical_formula_sum 'Ag8 B32 O52'
_cell_length_a 7.898
_cell_length_b 10.664
_cell_length_c 12.039
_cell_angle_alpha 80.22
_cell_angle_beta 89.99
_cell_angle_gamma 89.99
_symmetry_space_group_name_H-M 'P 1'
_symmetry_Int_Tables_number 1
loop_
_symmetry_equiv_pos_as_xyz
'x,y,z'
loop_
_atom_site_label
_atom_site_fract_x
_atom_site_fract_y
_atom_site_fract_z
Ag1 0.000 0.000 0.000
Ag2 0.028 0.348 0.298
Ag3 0.209 0.734 0.525
Ag4 0.275 0.072 0.830
Ag5 0.500 0.572 0.830
Ag6 0.565 0.234 0.525
Ag7 0.709 0.838 0.305
Ag8 0.775 0.500 0.999
B1 0.031 0.640 0.312
B2 0.043 0.601 0.790
B3 0.052 0.273 0.053
B4 0.056 0.425 0.675
B5 0.088 0.232 0.587
B6 0.127 0.078 0.212
B7 0.148 0.995 0.618
B8 0.188 0.841 0.242
B9 0.219 0.647 0.154
B10 0.223 0.798 0.777
B11 0.232 0.471 0.040
B12 0.244 0.433 0.518
B13 0.297 0.314 0.919
B14 0.323 0.988 0.356
B15 0.451 0.488 0.356
B16 0.478 0.814 0.919
B17 0.530 0.933 0.518
B18 0.543 0.971 0.040
B19 0.552 0.298 0.777
B20 0.556 0.147 0.154
B21 0.586 0.341 0.242
B22 0.627 0.494 0.618
B23 0.648 0.578 0.212
B24 0.688 0.731 0.588
B25 0.719 0.925 0.675
B26 0.723 0.774 0.053
B27 0.732 0.101 0.790
B28 0.744 0.138 0.312
B29 0.796 0.258 0.910
B30 0.823 0.584 0.473
B31 0.952 0.084 0.473
B32 0.978 0.758 0.911
O1 0.015 0.303 0.670
O2 0.039 0.181 0.158
O3 0.045 0.981 0.526
O4 0.054 0.766 0.313
O5 0.101 0.398 0.086
O6 0.101 0.836 0.857
O7 0.111 0.960 0.181
O8 0.117 0.577 0.237
O9 0.157 0.496 0.592
O10 0.164 0.112 0.649
O11 0.174 0.236 0.973
O12 0.174 0.674 0.744
O13 0.222 0.307 0.518
O14 0.230 0.091 0.303
O15 0.235 0.891 0.671
O16 0.259 0.769 0.159
O17 0.278 0.586 0.069
O18 0.318 0.872 0.323
O19 0.326 0.434 0.951
O20 0.350 0.511 0.445
O21 0.382 0.280 0.831
O22 0.393 0.780 0.831
O23 0.425 0.012 0.445
O24 0.449 0.934 0.951
O25 0.458 0.372 0.323
O26 0.497 0.087 0.068
O27 0.516 0.269 0.159
O28 0.540 0.391 0.671
O29 0.545 0.591 0.303
O30 0.554 0.807 0.517
O31 0.601 0.174 0.744
O32 0.601 0.736 0.973
O33 0.611 0.612 0.649
O34 0.617 0.996 0.592
O35 0.657 0.076 0.237
O36 0.665 0.460 0.181
O37 0.674 0.336 0.857
O38 0.674 0.898 0.086
O39 0.722 0.265 0.312
O40 0.730 0.481 0.526
O41 0.735 0.681 0.158
O42 0.759 0.803 0.670
O43 0.778 0.986 0.761
O44 0.818 0.700 0.507
O45 0.826 0.138 0.878
O46 0.850 0.060 0.385
O47 0.882 0.292 0.999
O48 0.893 0.792 0.999
O49 0.925 0.561 0.385
O50 0.949 0.639 0.878
O51 0.957 0.200 0.507
O52 0.997 0.486 0.761